First-principles (PBE) data for SmHoMg2 after structural relaxation, as listed in the Materials Project database.

Lattice parameters (Å, degrees): 5.3867 5.3867 5.3867 60.00 60.00 60.00
With the nearest neighbours (Å) after each atom.
Element x y z (fractional)
Mg1 0.2500 0.2500 0.2500  4 Ho 3.30, 4 Sm 3.30
Mg2 0.7500 0.7500 0.7500  4 Ho 3.30, 4 Sm 3.30
Ho1 0.5000 0.5000 0.5000  8 Mg 3.30
Sm1 0.0000 0.0000 0.0000  8 Mg 3.30

Computed properties:
Calculated total energy: -3.213 eV per atom
Space-group type: Fm-3m